Below is crystalline Li2Mn2Si4O11 at its relaxed geometry, with properties calculated at the PBE with a Hubbard U level.

Calculated values
- energy of formation (eV per atom) = -2.8891
- size of the total moment (Bohr magnetons per cell) = 20.00
- VASP energy (eV for the cell shown) = -284.5
- space-group type = P-1 (2)
- offset from the most stable computed form (meV/atom) = 0

Cell lengths 7.0547, 7.6434, 8.9526 Å; angles 100.06, 100.85, 104.11 degrees
With the nearest neighbours (Å) after each atom.
Fractional coordinates of all 38 atoms:
Li 0.1087 0.2826 0.1939  4 O 2.11-2.26
Li 0.3653 0.7557 0.8502  3 O 1.97-2.19
Li 0.6347 0.2443 0.1498  3 O 1.97-2.19
Li 0.8913 0.7174 0.8061  4 O 2.11-2.26
Mn 0.1290 0.8806 0.6027  5 O 2.14-2.31
Mn 0.3828 0.1271 0.3887  6 O 2.10-2.30
Mn 0.6172 0.8729 0.6113  6 O 2.10-2.30
Mn 0.8710 0.1194 0.3973  5 O 2.14-2.31
Si 0.0237 0.7251 0.2264  4 O 1.62-1.65
Si 0.2596 0.1145 0.9656  4 O 1.60-1.69
Si 0.2656 0.4706 0.6011  4 O 1.62-1.68
Si 0.4600 0.7282 0.2320  4 O 1.62-1.65
Si 0.5400 0.2718 0.7680  4 O 1.62-1.65
Si 0.7344 0.5294 0.3989  4 O 1.62-1.68
Si 0.7404 0.8855 0.0344  4 O 1.60-1.69
Si 0.9763 0.2749 0.7736  4 O 1.62-1.65
O 0.0840 0.9102 0.3663  1 Si 1.62
O 0.1003 0.2416 0.9362  2 Si 1.64-1.67
O 0.1118 0.4536 0.7234  2 Si 1.65-1.68
O 0.1785 0.9090 0.8498  1 Si 1.62
O 0.1786 0.3133 0.4380  1 Si 1.63
O 0.2138 0.6574 0.1839  2 Si 1.63-1.64
O 0.3145 0.1325 0.1507  1 Si 1.60
O 0.3168 0.6876 0.5957  1 Si 1.62
O 0.4412 0.0842 0.6304  1 Si 1.62
O 0.4722 0.4429 0.7078  2 Si 1.64-1.67
O 0.4743 0.2363 0.9305  2 Si 1.65-1.69
O 0.5257 0.7637 0.0695  2 Si 1.65-1.69
O 0.5278 0.5571 0.2922  2 Si 1.64-1.67
O 0.5588 0.9158 0.3696  1 Si 1.62
O 0.6832 0.3124 0.4043  1 Si 1.62
O 0.6855 0.8675 0.8493  1 Si 1.60
O 0.7862 0.3426 0.8161  2 Si 1.63-1.64
O 0.8214 0.6867 0.5620  1 Si 1.63
O 0.8215 0.0910 0.1502  1 Si 1.62
O 0.8882 0.5464 0.2766  2 Si 1.65-1.68
O 0.8997 0.7584 0.0638  2 Si 1.64-1.67
O 0.9160 0.0898 0.6337  1 Si 1.62